[1]
Below is an optimized crystal structure of CaSnS3, with properties calculated at the PBE-GGA level.

Results
VASP energy = -46.10 eV per cell
energy of formation from the pure elements = -118.4 kJ/mol of atoms
SG = Cmcm (63)

Cell lengths 7.7311, 7.7311, 8.1117 Å; angles 90.00, 90.00, 150.34 degrees
With the nearest neighbours (Å) after each atom.
Fractional coordinates of all 10 atoms:
1 Ca 0.2035 0.7965 0.7500  7 S 2.85-2.90
2 Ca 0.7965 0.2035 0.2500  7 S 2.85-2.90
3 Sn 0.5000 0.5000 0.0000  2 S 2.41
4 Sn 0.5000 0.5000 0.5000  2 S 2.41
5 S 0.0125 0.9875 0.7500  4 Sn 2.84, 1 Ca 2.85
6 S 0.3386 0.6614 0.0061  1 Sn 2.41
7 S 0.3386 0.6614 0.4939  1 Sn 2.41
8 S 0.6614 0.3386 0.5061  1 Sn 2.41
9 S 0.6614 0.3386 0.9939  1 Sn 2.41
10 S 0.9875 0.0125 0.2500  4 Sn 2.84, 1 Ca 2.85

[2]
Below is an optimized crystal structure of CaSnS3, with properties calculated at the PBE-GGA level.

Results
VASP energy = -46.07 eV per cell
energy of formation from the pure elements = -118.1 kJ/mol of atoms
SG = Ima2 (46)

Cell lengths 6.9597, 6.9597, 6.9597 Å; angles 89.82, 120.68, 119.53 degrees
With the nearest neighbours (Å) after each atom.
Fractional coordinates of all 10 atoms:
1 Ca 0.0306 0.2500 0.2806  6 S 2.83-3.06
2 Ca 0.9694 0.7500 0.7194  6 S 2.83-3.06
3 Sn 0.4731 0.4731 0.0000  6 S 2.54-2.65
4 Sn 0.4731 0.9731 0.5000  6 S 2.54-2.65
5 S 0.2830 0.6590 0.1240  2 Sn 2.65, 1 Ca 2.86
6 S 0.4872 0.3023 0.3363  2 Sn 2.54-2.60, 1 Ca 2.83
7 S 0.4872 0.6509 0.6849  2 Sn 2.54-2.60, 1 Ca 2.83
8 S 0.5350 0.1590 0.8760  2 Sn 2.65, 1 Ca 2.86
9 S 0.9660 0.1509 0.6637  2 Sn 2.54-2.60, 1 Ca 2.83
10 S 0.9660 0.8023 0.3151  2 Sn 2.54-2.60, 1 Ca 2.83

[3]
Below is an optimized crystal structure of CaSnS3, with properties calculated at the PBE-GGA level.

Results
VASP energy = -137.67 eV per cell
energy of formation from the pure elements = -116.4 kJ/mol of atoms
SG = P2_1 (4)

Cell lengths 8.8942, 7.0259, 12.5514 Å; angles 90.00, 103.36, 90.00 degrees
With the nearest neighbours (Å) after each atom.
Fractional coordinates of all 30 atoms:
1 Ca 0.0566 0.0000 0.0959  7 S 2.82-2.97
2 Ca 0.1388 0.9136 0.4275  7 S 2.77-3.02
3 Ca 0.3511 0.3919 0.3493  7 S 2.81-3.00
4 Ca 0.6489 0.8919 0.6507  7 S 2.81-3.00
5 Ca 0.8612 0.4136 0.5725  7 S 2.77-3.02
6 Ca 0.9434 0.5000 0.9041  7 S 2.82-2.97
7 Sn 0.1838 0.9539 0.8015  5 S 2.51-2.64
8 Sn 0.3774 0.3640 0.6979  4 S 2.68-2.84
9 Sn 0.4195 0.4742 0.9667  3 S 2.60-2.74
10 Sn 0.5805 0.9742 0.0333  3 S 2.60-2.74
11 Sn 0.6226 0.8640 0.3021  4 S 2.68-2.84
12 Sn 0.8162 0.4539 0.1985  5 S 2.51-2.64
13 S 0.0415 0.2422 0.2789  1 Sn 2.51
14 S 0.1237 0.1422 0.6145  2 Sn 2.64-2.74, 1 Ca 2.87
15 S 0.1814 0.7085 0.2487  1 S 2.09
16 S 0.1834 0.2222 0.9411  2 Sn 2.57-2.71, 1 Ca 2.85
17 S 0.2161 0.7366 0.9733  2 Sn 2.60, 1 Ca 2.90
18 S 0.3220 0.9505 0.2665  1 S 2.09
19 S 0.3796 0.6545 0.5412  1 S 2.16
20 S 0.4218 0.1448 0.5300  1 S 2.16
21 S 0.4699 0.9787 0.8106  2 Sn 2.53-2.74
22 S 0.5301 0.4787 0.1894  2 Sn 2.53-2.74
23 S 0.5782 0.6448 0.4700  1 S 2.16
24 S 0.6204 0.1545 0.4588  1 S 2.16
25 S 0.6780 0.4505 0.7335  1 S 2.09
26 S 0.7839 0.2366 0.0267  2 Sn 2.60, 1 Ca 2.90
27 S 0.8166 0.7222 0.0589  2 Sn 2.57-2.71, 1 Ca 2.85
28 S 0.8186 0.2085 0.7513  1 S 2.09
29 S 0.8763 0.6422 0.3855  2 Sn 2.64-2.74, 1 Ca 2.87
30 S 0.9585 0.7422 0.7210  1 Sn 2.51

[4]
Below is an optimized crystal structure of CaSnS3, with properties calculated at the PBE-GGA level.

Results
VASP energy = -275.73 eV per cell
energy of formation from the pure elements = -117.0 kJ/mol of atoms
SG = P2_1/c (14)

Cell lengths 8.8793, 7.0330, 25.0187 Å; angles 90.00, 103.18, 90.00 degrees
With the nearest neighbours (Å) after each atom.
Fractional coordinates of all 60 atoms:
1 Ca 0.0580 0.2406 0.0474  7 S 2.82-2.94
2 Ca 0.0580 0.2594 0.5474  7 S 2.82-2.94
3 Ca 0.1396 0.1721 0.7129  7 S 2.80-3.03
4 Ca 0.1396 0.3279 0.2129  7 S 2.80-3.03
5 Ca 0.3512 0.6510 0.6741  7 S 2.81-3.01
6 Ca 0.3512 0.8490 0.1741  7 S 2.81-3.01
7 Ca 0.6488 0.1510 0.8259  7 S 2.81-3.01
8 Ca 0.6488 0.3490 0.3259  7 S 2.81-3.01
9 Ca 0.8604 0.6721 0.7871  7 S 2.80-3.03
10 Ca 0.8604 0.8279 0.2871  7 S 2.80-3.03
11 Ca 0.9420 0.7406 0.4526  7 S 2.82-2.94
12 Ca 0.9420 0.7594 0.9526  7 S 2.82-2.94
13 Sn 0.1798 0.2181 0.8995  5 S 2.49-2.71
14 Sn 0.1798 0.2819 0.3995  5 S 2.49-2.71
15 Sn 0.3733 0.6208 0.8492  5 S 2.68-2.97
16 Sn 0.3733 0.8792 0.3492  5 S 2.68-2.97
17 Sn 0.4191 0.7236 0.9847  3 S 2.57-2.75
18 Sn 0.4191 0.7764 0.4847  3 S 2.57-2.75
19 Sn 0.5809 0.2236 0.5153  3 S 2.57-2.75
20 Sn 0.5809 0.2764 0.0153  3 S 2.57-2.75
21 Sn 0.6267 0.1208 0.6508  5 S 2.68-2.97
22 Sn 0.6267 0.3792 0.1508  5 S 2.68-2.97
23 Sn 0.8202 0.7181 0.6005  5 S 2.49-2.71
24 Sn 0.8202 0.7819 0.1005  5 S 2.49-2.71
25 S 0.0400 0.5012 0.6385  1 Sn 2.49
26 S 0.0400 0.9988 0.1385  1 Sn 2.49
27 S 0.1181 0.0980 0.3053  2 Sn 2.63-2.75, 2 Ca 2.86-2.93
28 S 0.1181 0.4020 0.8053  2 Sn 2.63-2.75, 2 Ca 2.86-2.93
29 S 0.1744 0.0257 0.4689  2 Sn 2.51-2.75
30 S 0.1744 0.4743 0.9689  2 Sn 2.51-2.75
31 S 0.1854 0.5319 0.1218  1 S 2.09
32 S 0.1854 0.9681 0.6218  1 S 2.09
33 S 0.2235 0.5109 0.4887  2 Sn 2.57-2.71
34 S 0.2235 0.9891 0.9887  2 Sn 2.57-2.71
35 S 0.3254 0.2109 0.6327  1 S 2.09
36 S 0.3254 0.2891 0.1327  1 S 2.09
37 S 0.3769 0.5864 0.2700  1 S 2.15
38 S 0.3769 0.9136 0.7700  1 S 2.15
39 S 0.4225 0.0956 0.2645  1 S 2.15
40 S 0.4225 0.4044 0.7645  1 S 2.15
41 S 0.4651 0.2500 0.4038  2 Sn 2.52-2.75
42 S 0.4651 0.2500 0.9038  2 Sn 2.52-2.75
43 S 0.5349 0.7500 0.0962  2 Sn 2.52-2.75
44 S 0.5349 0.7500 0.5962  2 Sn 2.52-2.75
45 S 0.5775 0.5956 0.2355  1 S 2.15
46 S 0.5775 0.9044 0.7355  1 S 2.15
47 S 0.6231 0.0864 0.2300  1 S 2.15
48 S 0.6231 0.4136 0.7300  1 S 2.15
49 S 0.6746 0.7109 0.8673  1 S 2.09
50 S 0.6746 0.7891 0.3673  1 S 2.09
51 S 0.7765 0.0109 0.0113  2 Sn 2.57-2.71
52 S 0.7765 0.4891 0.5113  2 Sn 2.57-2.71
53 S 0.8146 0.0319 0.3782  1 S 2.09
54 S 0.8146 0.4681 0.8782  1 S 2.09
55 S 0.8256 0.5257 0.0311  2 Sn 2.51-2.75
56 S 0.8256 0.9743 0.5311  2 Sn 2.51-2.75
57 S 0.8819 0.5980 0.1947  2 Sn 2.63-2.75, 2 Ca 2.86-2.93
58 S 0.8819 0.9020 0.6947  2 Sn 2.63-2.75, 2 Ca 2.86-2.93
59 S 0.9600 0.0012 0.8615  1 Sn 2.49
60 S 0.9600 0.4988 0.3615  1 Sn 2.49

Number 1: relative energy among the computed polymorphs 94 meV/atom. Number 2: relative energy among the computed polymorphs 97 meV/atom. Number 3: relative energy among the computed polymorphs 115 meV/atom. Number 4: relative energy among the computed polymorphs 109 meV/atom.